A relaxed Ti3Mn2NbP6O24 crystal, computed with GGA+U.

Values from the calculation:
**Calculated density**: 3.23 g cm⁻³
**Energy with MP2020 corrections**: -8.50 eV/atom
**ΔH_f (0 K)**: -9911 kJ/mol of formula units

Geometry as CIF:
```
data_Ti3Mn2NbP6O24
_cell_length_a 8.7685
_cell_length_b 8.7685
_cell_length_c 21.1953
_cell_angle_alpha 90.00
_cell_angle_beta 90.00
_cell_angle_gamma 120.00
_symmetry_space_group_name_H-M 'R 3'
_symmetry_Int_Tables_number 146
_symmetry_space_group_name_Hall 'R 3'
loop_
_atom_site_label
_atom_site_fract_x
_atom_site_fract_y
_atom_site_fract_z
Ti1 0.0000 0.0000 0.0000
Ti2 0.0000 0.0000 0.2098
Ti3 0.0000 0.0000 0.4997
Mn1 0.0000 0.0000 0.3539
Mn2 0.0000 0.0000 0.8556
Nb1 0.0000 0.0000 0.7113
P1 0.0003 0.7036 0.6033
P2 0.0053 0.2934 0.1049
O1 0.0001 0.1933 0.0447
O2 0.0020 0.8024 0.6644
O3 0.0040 0.1945 0.1646
O4 0.0180 0.8330 0.2758
O5 0.0192 0.1901 0.7769
O6 0.1394 0.6677 0.2114
O7 0.1671 0.6846 0.5994
O8 0.1691 0.4810 0.0997
```